<A>
A relaxed structure of LaMg6Al, computed with GGA-PBE.

Properties
As for the magnetization: 0.001 μB per atom. As for the space group: No. 38.

Lattice parameters (Å, degrees): 4.911 7.343 7.343 49.37 90.00 90.00
Atoms (fractional coordinates):
1 La 0.000 0.000 0.000
2 Mg 0.000 0.496 0.982
3 Mg 0.000 0.982 0.496
4 Mg 0.500 0.126 0.627
5 Mg 0.500 0.167 0.167
6 Mg 0.500 0.591 0.591
7 Mg 0.500 0.627 0.126
8 Al 0.000 0.435 0.435

<B>
A relaxed structure of LaMg6Al, computed with GGA-PBE.

Properties
As for the magnetization: 0.000 μB per atom.

Lattice parameters (Å, degrees): 5.065 6.698 11.572 90.00 90.00 90.00
Atoms (fractional coordinates):
1 Al 0.000 0.000 0.835
2 Mg 0.000 0.763 0.078
3 Mg 0.000 0.500 0.833
4 Mg 0.000 0.237 0.078
5 Mg 0.500 0.259 0.419
6 Mg 0.500 0.241 0.919
7 Mg 0.500 0.741 0.419
8 Mg 0.500 0.759 0.919
9 Mg 0.000 0.737 0.578
10 La 0.500 0.500 0.174
11 Mg 0.500 0.000 0.164
12 Al 0.000 0.500 0.335
13 Mg 0.000 0.263 0.578
14 Mg 0.500 0.500 0.664
15 La 0.500 0.000 0.674
16 Mg 0.000 0.000 0.333

Relative energies, unit meV per atom: <A> 0; <B> 22

<A>
A relaxed structure of La4Al2O9, computed with GGA-PBE.

Properties
As for the magnetization: 0.000 μB per atom. As for the space group: No. 1.

Lattice parameters (Å, degrees): 5.589 6.420 7.479 88.66 85.59 88.99
Atoms (fractional coordinates):
1 La 0.000 0.000 0.000
2 La 0.027 0.813 0.519
3 La 0.563 0.510 0.860
4 La 0.600 0.258 0.355
5 Al 0.092 0.461 0.138
6 Al 0.095 0.333 0.567
7 O 0.219 0.695 0.053
8 O 0.264 0.101 0.527
9 O 0.306 0.521 0.618
10 O 0.311 0.263 0.088
11 O 0.813 0.281 0.672
12 O 0.813 0.967 0.288
13 O 0.814 0.797 0.791
14 O 0.821 0.359 0.069
15 O 0.998 0.469 0.370

<B>
A relaxed structure of La4Al2O9, computed with GGA-PBE.

Properties
As for the magnetization: 0.000 μB per atom. As for the space group: No. 14.

Lattice parameters (Å, degrees): 7.952 11.136 11.604 90.00 109.47 90.00
Atoms (fractional coordinates):
1 La 0.025 0.101 0.290
2 La 0.025 0.399 0.790
3 La 0.165 0.625 0.570
4 La 0.165 0.875 0.070
5 La 0.337 0.124 0.916
6 La 0.337 0.376 0.416
7 La 0.474 0.588 0.190
8 La 0.474 0.912 0.690
9 La 0.526 0.088 0.310
10 La 0.526 0.412 0.810
11 La 0.663 0.624 0.584
12 La 0.663 0.876 0.084
13 La 0.835 0.125 0.930
14 La 0.835 0.375 0.430
15 La 0.975 0.601 0.210
16 La 0.975 0.899 0.710
17 Al 0.149 0.186 0.619
18 Al 0.149 0.314 0.119
19 Al 0.275 0.688 0.871
20 Al 0.275 0.812 0.371
21 Al 0.725 0.188 0.629
22 Al 0.725 0.312 0.129
23 Al 0.851 0.686 0.881
24 Al 0.851 0.814 0.381
25 O 0.066 0.736 0.883
26 O 0.066 0.764 0.383
27 O 0.068 0.007 0.896
28 O 0.068 0.493 0.396
29 O 0.139 0.229 0.469
30 O 0.139 0.271 0.969
31 O 0.199 0.035 0.667
32 O 0.199 0.465 0.167
33 O 0.269 0.728 0.238
34 O 0.269 0.772 0.738
35 O 0.282 0.226 0.245
36 O 0.282 0.274 0.745
37 O 0.283 0.534 0.836
38 O 0.283 0.966 0.336
39 O 0.420 0.733 0.016
40 O 0.420 0.767 0.516
41 O 0.424 0.003 0.106
42 O 0.424 0.497 0.606
43 O 0.576 0.503 0.394
44 O 0.576 0.997 0.894
45 O 0.580 0.233 0.484
46 O 0.580 0.267 0.984
47 O 0.717 0.034 0.664
48 O 0.717 0.466 0.164
49 O 0.718 0.726 0.255
50 O 0.718 0.774 0.755
51 O 0.731 0.228 0.262
52 O 0.731 0.272 0.762
53 O 0.801 0.535 0.833
54 O 0.801 0.965 0.333
55 O 0.861 0.729 0.031
56 O 0.861 0.771 0.531
57 O 0.932 0.507 0.604
58 O 0.932 0.993 0.104
59 O 0.934 0.236 0.617
60 O 0.934 0.264 0.117

Relative energies, unit meV per atom: <A> 175; <B> 0

<A>
A relaxed structure of LiMg6AlO8, computed with GGA-PBE.

Properties
As for the magnetization: 0.000 μB per atom. As for the space group: No. 123.

Lattice parameters (Å, degrees): 4.173 4.173 8.496 90.00 90.00 90.00
Atoms (fractional coordinates):
1 Li 0.000 0.000 0.000
2 Mg 0.000 0.000 0.500
3 Mg 0.000 0.500 0.243
4 Mg 0.000 0.500 0.757
5 Mg 0.500 0.000 0.243
6 Mg 0.500 0.000 0.757
7 Mg 0.500 0.500 0.500
8 Al 0.500 0.500 0.000
9 O 0.000 0.000 0.258
10 O 0.000 0.000 0.742
11 O 0.000 0.500 0.000
12 O 0.000 0.500 0.500
13 O 0.500 0.000 0.000
14 O 0.500 0.000 0.500
15 O 0.500 0.500 0.227
16 O 0.500 0.500 0.773

<B>
A relaxed structure of LiMg6AlO8, computed with GGA-PBE.

Properties
As for the magnetization: 0.000 μB per atom. As for the space group: No. 123.

Lattice parameters (Å, degrees): 4.201 4.201 8.485 90.00 90.00 90.00
Atoms (fractional coordinates):
1 Li 0.000 0.000 0.000
2 Mg 0.000 0.500 0.240
3 Mg 0.000 0.500 0.760
4 Mg 0.500 0.000 0.240
5 Mg 0.500 0.000 0.760
6 Mg 0.500 0.500 0.000
7 Mg 0.500 0.500 0.500
8 Al 0.000 0.000 0.500
9 O 0.000 0.000 0.283
10 O 0.000 0.000 0.717
11 O 0.000 0.500 0.000
12 O 0.000 0.500 0.500
13 O 0.500 0.000 0.000
14 O 0.500 0.000 0.500
15 O 0.500 0.500 0.253
16 O 0.500 0.500 0.747

Relative energies, unit meV per atom: <A> 9; <B> 0

<A>
A relaxed structure of LiMgAl3S6O24, computed with GGA-PBE.

Properties
As for the magnetization: 0.000 μB per atom. As for the space group: No. 2.

Lattice parameters (Å, degrees): 8.207 8.751 11.984 95.02 90.13 90.35
Atoms (fractional coordinates):
1 Li 0.104 0.353 0.425
2 Li 0.896 0.647 0.575
3 Mg 0.001 0.211 0.646
4 Mg 0.999 0.789 0.354
5 Al 0.003 0.196 0.145
6 Al 0.495 0.287 0.854
7 Al 0.498 0.702 0.656
8 Al 0.502 0.298 0.344
9 Al 0.505 0.713 0.146
10 Al 0.997 0.804 0.855
11 S 0.143 0.844 0.611
12 S 0.149 0.141 0.896
13 S 0.210 0.489 0.247
14 S 0.293 0.997 0.248
15 S 0.353 0.638 0.894
16 S 0.369 0.351 0.602
17 S 0.631 0.649 0.398
18 S 0.647 0.362 0.106
19 S 0.707 0.003 0.752
20 S 0.790 0.511 0.753
21 S 0.851 0.859 0.104
22 S 0.857 0.156 0.389
23 O 0.027 0.783 0.696
24 O 0.044 0.186 0.993
25 O 0.075 0.564 0.310
26 O 0.087 0.218 0.802
27 O 0.102 0.746 0.508
28 O 0.117 0.006 0.600
29 O 0.145 0.971 0.872
30 O 0.149 0.373 0.160
31 O 0.181 0.666 0.868
32 O 0.186 0.066 0.166
33 O 0.199 0.312 0.569
34 O 0.204 0.900 0.320
35 O 0.303 0.410 0.336
36 O 0.313 0.821 0.646
37 O 0.317 0.597 0.195
38 O 0.320 0.185 0.920
39 O 0.375 0.119 0.323
40 O 0.375 0.520 0.632
41 O 0.376 0.469 0.890
42 O 0.393 0.709 0.007
43 O 0.416 0.270 0.700
44 O 0.418 0.908 0.181
45 O 0.465 0.704 0.814
46 O 0.478 0.305 0.507
47 O 0.522 0.695 0.493
48 O 0.535 0.296 0.186
49 O 0.582 0.092 0.819
50 O 0.584 0.730 0.300
51 O 0.607 0.291 0.993
52 O 0.624 0.531 0.110
53 O 0.625 0.480 0.368
54 O 0.625 0.881 0.677
55 O 0.680 0.815 0.080
56 O 0.683 0.403 0.805
57 O 0.687 0.179 0.354
58 O 0.697 0.590 0.664
59 O 0.796 0.100 0.680
60 O 0.801 0.688 0.431
61 O 0.814 0.934 0.834
62 O 0.819 0.334 0.132
63 O 0.851 0.627 0.840
64 O 0.855 0.029 0.128
65 O 0.883 0.994 0.400
66 O 0.898 0.254 0.492
67 O 0.913 0.782 0.198
68 O 0.925 0.436 0.690
69 O 0.956 0.814 0.007
70 O 0.973 0.217 0.304

<B>
A relaxed structure of LiMgAl3S6O24, computed with GGA-PBE.

Properties
As for the magnetization: 0.000 μB per atom. As for the space group: No. 2.

Lattice parameters (Å, degrees): 8.297 8.675 12.016 93.69 90.14 90.19
Atoms (fractional coordinates):
1 Li 0.151 0.273 0.415
2 Li 0.849 0.727 0.585
3 Mg 0.001 0.783 0.354
4 Mg 0.999 0.217 0.646
5 Al 0.000 0.201 0.142
6 Al 0.000 0.799 0.858
7 Al 0.495 0.706 0.653
8 Al 0.496 0.286 0.856
9 Al 0.504 0.714 0.144
10 Al 0.505 0.294 0.347
11 S 0.146 0.852 0.610
12 S 0.149 0.144 0.898
13 S 0.212 0.492 0.247
14 S 0.293 0.999 0.248
15 S 0.354 0.642 0.896
16 S 0.367 0.356 0.603
17 S 0.633 0.644 0.397
18 S 0.646 0.358 0.104
19 S 0.707 0.001 0.752
20 S 0.788 0.508 0.753
21 S 0.851 0.856 0.102
22 S 0.854 0.148 0.390
23 O 0.041 0.792 0.702
24 O 0.050 0.203 0.993
25 O 0.086 0.569 0.312
26 O 0.092 0.217 0.800
27 O 0.095 0.754 0.512
28 O 0.116 0.015 0.596
29 O 0.139 0.972 0.885
30 O 0.144 0.379 0.162
31 O 0.180 0.660 0.876
32 O 0.190 0.074 0.166
33 O 0.198 0.317 0.573
34 O 0.203 0.895 0.315
35 O 0.310 0.407 0.331
36 O 0.317 0.600 0.190
37 O 0.319 0.834 0.636
38 O 0.321 0.182 0.919
39 O 0.364 0.121 0.330
40 O 0.373 0.527 0.620
41 O 0.389 0.475 0.898
42 O 0.400 0.723 0.004
43 O 0.412 0.282 0.706
44 O 0.424 0.918 0.185
45 O 0.451 0.712 0.809
46 O 0.473 0.297 0.511
47 O 0.527 0.703 0.489
48 O 0.549 0.288 0.191
49 O 0.576 0.082 0.815
50 O 0.588 0.718 0.294
51 O 0.600 0.277 0.996
52 O 0.611 0.525 0.102
53 O 0.627 0.473 0.380
54 O 0.636 0.879 0.670
55 O 0.679 0.818 0.081
56 O 0.681 0.166 0.364
57 O 0.683 0.400 0.810
58 O 0.690 0.593 0.669
59 O 0.797 0.105 0.685
60 O 0.802 0.683 0.427
61 O 0.810 0.926 0.834
62 O 0.820 0.340 0.124
63 O 0.856 0.621 0.838
64 O 0.861 0.028 0.115
65 O 0.884 0.985 0.404
66 O 0.905 0.246 0.488
67 O 0.908 0.783 0.200
68 O 0.914 0.431 0.688
69 O 0.950 0.797 0.007
70 O 0.959 0.208 0.298

Relative energies, unit meV per atom: <A> 0; <B> 6

<A>
A relaxed structure of SrLiAlO3, computed with GGA-PBE.

Properties
As for the magnetization: 0.000 μB per atom. As for the space group: No. 8.

Lattice parameters (Å, degrees): 3.700 3.700 5.203 105.09 105.09 90.23
Atoms (fractional coordinates):
1 Sr 0.000 0.000 0.000
2 Li 0.262 0.262 0.589
3 Al 0.636 0.636 0.347
4 O 0.166 0.679 0.425
5 O 0.488 0.488 0.976
6 O 0.679 0.166 0.425

<B>
A relaxed structure of SrLiAlO3, computed with GGA-PBE.

Properties
As for the magnetization: 0.000 μB per atom. As for the space group: No. 123.

Lattice parameters (Å, degrees): 3.691 3.691 5.012 90.00 90.00 90.00
Atoms (fractional coordinates):
1 Sr 0.000 0.000 0.000
2 Li 0.000 0.000 0.500
3 Al 0.500 0.500 0.500
4 O 0.000 0.500 0.500
5 O 0.500 0.000 0.500
6 O 0.500 0.500 0.000

Relative energies, unit meV per atom: <A> 0; <B> 225

<A>
A relaxed structure of LuMg16Al12, computed with GGA-PBE.

Properties
As for the magnetization: 0.000 μB per atom. As for the space group: No. 160.

Lattice parameters (Å, degrees): 9.266 9.266 9.266 110.43 110.43 110.43
Atoms (fractional coordinates):
1 Lu 0.000 0.000 0.000
2 Mg 0.057 0.057 0.655
3 Mg 0.057 0.655 0.057
4 Mg 0.093 0.763 0.763
5 Mg 0.370 0.683 0.978
6 Mg 0.370 0.978 0.683
7 Mg 0.374 0.374 0.374
8 Mg 0.377 0.377 0.717
9 Mg 0.377 0.717 0.377
10 Mg 0.655 0.057 0.057
11 Mg 0.683 0.370 0.978
12 Mg 0.683 0.978 0.370
13 Mg 0.717 0.377 0.377
14 Mg 0.763 0.093 0.763
15 Mg 0.763 0.763 0.093
16 Mg 0.978 0.370 0.683
17 Mg 0.978 0.683 0.370
18 Al 0.008 0.186 0.368
19 Al 0.008 0.368 0.186
20 Al 0.186 0.008 0.368
21 Al 0.186 0.368 0.008
22 Al 0.198 0.562 0.562
23 Al 0.368 0.008 0.186
24 Al 0.368 0.186 0.008
25 Al 0.562 0.198 0.562
26 Al 0.562 0.562 0.198
27 Al 0.564 0.743 0.743
28 Al 0.743 0.564 0.743
29 Al 0.743 0.743 0.564

<B>
A relaxed structure of LuMg16Al12, computed with GGA-PBE.

Properties
As for the magnetization: 0.000 μB per atom. As for the space group: No. 217.

Lattice parameters (Å, degrees): 9.118 9.118 9.118 109.47 109.47 109.47
Atoms (fractional coordinates):
1 Lu 0.000 0.000 0.000
2 Mg 0.000 0.000 0.355
3 Mg 0.000 0.319 0.603
4 Mg 0.000 0.355 0.000
5 Mg 0.000 0.603 0.319
6 Mg 0.284 0.681 0.681
7 Mg 0.319 0.000 0.603
8 Mg 0.319 0.603 0.000
9 Mg 0.355 0.000 0.000
10 Mg 0.397 0.397 0.716
11 Mg 0.397 0.716 0.397
12 Mg 0.603 0.000 0.319
13 Mg 0.603 0.319 0.000
14 Mg 0.645 0.645 0.645
15 Mg 0.681 0.284 0.681
16 Mg 0.681 0.681 0.284
17 Mg 0.716 0.397 0.397
18 Al 0.000 0.633 0.814
19 Al 0.000 0.814 0.633
20 Al 0.181 0.367 0.367
21 Al 0.186 0.186 0.819
22 Al 0.186 0.819 0.186
23 Al 0.367 0.181 0.367
24 Al 0.367 0.367 0.181
25 Al 0.633 0.000 0.814
26 Al 0.633 0.814 0.000
27 Al 0.814 0.000 0.633
28 Al 0.814 0.633 0.000
29 Al 0.819 0.186 0.186

Relative energies, unit meV per atom: <A> 9; <B> 0